Entry 1:
This record from Materials Project describes crystalline TmTiGe at its relaxed geometry. The functional is PBE-GGA.

Cell: 4.026 4.026 7.579 Å, 90.00 90.00 90.00°
Element x y z (fractional)
1 Tm 0.250 0.250 0.158
2 Tm 0.750 0.750 0.842
3 Ti 0.250 0.750 0.500
4 Ti 0.750 0.250 0.500
5 Ge 0.250 0.250 0.749
6 Ge 0.750 0.750 0.251

Values from the calculation:
Formation energy: -67.36 kJ/mol of atoms
Total energy: -38.2 eV per cell
Theoretical density: 7.8 Mg/m³

Entry 2:
This record from Materials Project describes crystalline U2Ti3Ge4 at its relaxed geometry. The functional is PBE-GGA.

Cell: 7.117 7.127 7.019 Å, 90.00 110.03 90.00°
Element x y z (fractional)
1 U 0.179 0.162 0.057
2 U 0.179 0.338 0.557
3 U 0.821 0.662 0.443
4 U 0.821 0.838 0.943
5 Ti 0.251 0.666 0.250
6 Ti 0.251 0.834 0.750
7 Ti 0.500 0.000 0.500
8 Ti 0.500 0.500 0.000
9 Ti 0.749 0.166 0.250
10 Ti 0.749 0.334 0.750
11 Ge 0.091 0.545 0.863
12 Ge 0.091 0.955 0.363
13 Ge 0.497 0.137 0.861
14 Ge 0.497 0.363 0.361
15 Ge 0.503 0.637 0.639
16 Ge 0.503 0.863 0.139
17 Ge 0.909 0.045 0.637
18 Ge 0.909 0.455 0.137

Values from the calculation:
Formation energy: -48.50 kJ/mol of atoms
Total energy: -138.6 eV per cell
Theoretical density: 9.0 Mg/m³
Total magnetization: 4.99 μB/f.u.

Entry 3:
This record from Materials Project describes crystalline YTiGe at its relaxed geometry. The functional is PBE-GGA.

Cell: 4.066 4.066 7.691 Å, 90.00 90.00 90.00°
Element x y z (fractional)
1 Y 0.250 0.250 0.156
2 Y 0.750 0.750 0.844
3 Ti 0.250 0.750 0.500
4 Ti 0.750 0.250 0.500
5 Ge 0.250 0.250 0.742
6 Ge 0.750 0.750 0.258

Values from the calculation:
Formation energy: -68.49 kJ/mol of atoms
Total energy: -42.2 eV per cell
Theoretical density: 5.5 Mg/m³